1.
Here is crystalline Na2SrGe8O18 at its relaxed geometry from Materials Project. Energies are from PBE.

a b c (Å): 11.5957 11.5957 19.6086
angles (deg): 90.00 90.00 120.00
Space group P-3c1 (No. 165)
Inequivalent atoms, fractional coordinates:
Na (0.0068, 0.3371, 0.0373) (multiplicity 12)
Sr (0.0000, 0.3343, 0.2500) (multiplicity 6)
Ge (0.0000, 0.0000, 0.0000) (multiplicity 2)
Ge (0.0000, 0.0000, 0.2500) (multiplicity 2)
Ge (0.0050, 0.1777, 0.6266) (multiplicity 12)
Ge (0.1472, 0.4863, 0.6495) (multiplicity 12)
Ge (0.1546, 0.4898, 0.8933) (multiplicity 12)
Ge (0.3333, 0.6667, 0.0229) (multiplicity 4)
Ge (0.3333, 0.6667, 0.2730) (multiplicity 4)
O (0.0076, 0.4889, 0.8652) (multiplicity 12)
O (0.0613, 0.1539, 0.3086) (multiplicity 12)
O (0.0613, 0.1546, 0.0590) (multiplicity 12)
O (0.1043, 0.3224, 0.9205) (multiplicity 12)
O (0.1213, 0.3250, 0.6749) (multiplicity 12)
O (0.1764, 0.5803, 0.9684) (multiplicity 12)
O (0.1804, 0.5819, 0.2177) (multiplicity 12)
O (0.2411, 0.5126, 0.3296) (multiplicity 12)
O (0.2456, 0.5095, 0.5775) (multiplicity 12)

## Properties
Electronic total energy = -6.300 eV/atom
Magnetization = 0.00 Bohr magnetons per cell
Formation energy from the elements = -2230 meV per atom
V = 2283.34 Å³/cell


2.
Here is crystalline NaTaGeO5 at its relaxed geometry from Materials Project. Energies are from PBE.

a b c (Å): 7.0180 8.9912 7.5178
angles (deg): 90.00 115.36 90.00
Space group C2/c (No. 15)
Inequivalent atoms, fractional coordinates:
Na (0.0000, 0.1759, 0.2500) (multiplicity 4)
Ta (0.0000, 0.5000, 0.0000) (multiplicity 4)
Ge (0.0000, 0.1801, 0.7500) (multiplicity 4)
O (0.0000, 0.4366, 0.2500) (multiplicity 4)
O (0.0892, 0.2918, 0.6064) (multiplicity 8)
O (0.1974, 0.0572, 0.9050) (multiplicity 8)

## Properties
Electronic total energy = -7.620 eV/atom
Magnetization = 0.00 Bohr magnetons per cell
Formation energy from the elements = -2731 meV per atom
V = 428.67 Å³/cell


3.
Here is crystalline Na2GeTeO6 at its relaxed geometry from Materials Project. Energies are from PBE.

a b c (Å): 5.1841 5.1841 10.8224
angles (deg): 90.00 90.00 120.00
Space group P-31c (No. 163)
Inequivalent atoms, fractional coordinates:
Na (0.3333, 0.6667, 0.0404) (multiplicity 4)
Ge (0.3333, 0.6667, 0.7500) (multiplicity 2)
Te (0.0000, 0.0000, 0.2500) (multiplicity 2)
O (0.0553, 0.3388, 0.8520) (multiplicity 12)

## Properties
Electronic total energy = -5.548 eV/atom
Magnetization = 0.00 Bohr magnetons per cell
Formation energy from the elements = -1950 meV per atom
V = 251.88 Å³/cell


4.
Here is crystalline Na2GeTeO6 at its relaxed geometry from Materials Project. Energies are from PBE.

a b c (Å): 5.1825 5.1825 16.1907
angles (deg): 90.00 90.00 120.00
Space group R3 (No. 146, hexagonal axes)
Inequivalent atoms, fractional coordinates:
Na (0.0000, 0.0000, 0.0000) (multiplicity 3)
Na (0.0000, 0.0000, 0.2820) (multiplicity 3)
Ge (0.0000, 0.0000, 0.4786) (multiplicity 3)
Te (0.0000, 0.0000, 0.8035) (multiplicity 3)
O (0.0095, 0.3894, 0.0724) (multiplicity 9)
O (0.0538, 0.7170, 0.5422) (multiplicity 9)

## Properties
Electronic total energy = -5.547 eV/atom
Magnetization = 0.00 Bohr magnetons per cell
Formation energy from the elements = -1949 meV per atom
V = 376.60 Å³/cell